1.
Below is crystalline BaCaGdBiO6 at its relaxed geometry, with properties calculated at the GGA-PBE level.

Lattice parameters (Å, degrees): 8.576 8.608 8.589 90.00 90.00 90.00
Sites, in units of the cell vectors:
O  0.696  0.199  0.491
O  0.793  0.491  0.309
O  0.304  0.801  0.491
Bi  0.743  0.748  0.750
Bi  0.257  0.748  0.250
O  0.991  0.213  0.275
Ca  0.500  0.000  0.500
O  0.223  0.715  0.006
Ca  0.000  0.500  0.500
O  0.991  0.787  0.725
Gd  0.744  0.251  0.748
O  0.009  0.787  0.275
O  0.793  0.509  0.691
O  0.696  0.801  0.509
Ba  0.000  0.500  0.000
O  0.507  0.686  0.791
Ba  0.000  0.000  0.000
Ca  0.500  0.000  0.000
O  0.009  0.213  0.725
O  0.304  0.992  0.204
O  0.207  0.491  0.691
Ba  0.500  0.500  0.500
O  0.207  0.509  0.309
O  0.507  0.314  0.209
Ba  0.000  0.000  0.500
Gd  0.256  0.251  0.252
O  0.696  0.992  0.796
O  0.304  0.199  0.509
O  0.493  0.686  0.209
O  0.304  0.008  0.796
Bi  0.257  0.252  0.750
Bi  0.743  0.252  0.250
Ca  0.500  0.500  0.000
Gd  0.744  0.749  0.252
O  0.493  0.314  0.791
Gd  0.256  0.749  0.748
O  0.777  0.715  0.994
O  0.223  0.285  0.994
O  0.777  0.285  0.006
O  0.696  0.008  0.204

## Properties
Space group: No. 16
Total magnetic moment (μB per cell): 28.00
DFT formation energy (meV/atom): -2780.6
Energy above the lowest structure with this stoichiometry (meV per atom): 1

***

2.
Below is crystalline BaCaGdBiO6 at its relaxed geometry, with properties calculated at the GGA-PBE level.

Lattice parameters (Å, degrees): 6.139 6.139 6.139 60.00 60.00 60.00
Sites, in units of the cell vectors:
O  0.757  0.243  0.757
O  0.757  0.243  0.243
Gd  0.500  0.500  0.500
Bi  0.000  0.000  0.000
O  0.757  0.757  0.243
Ca  0.750  0.750  0.750
Ba  0.250  0.250  0.250
O  0.243  0.243  0.757
O  0.243  0.757  0.757
O  0.243  0.757  0.243

## Properties
Space group: No. 216
Total magnetic moment (μB per cell): 7.00
DFT formation energy (meV/atom): -2671.6
Energy above the lowest structure with this stoichiometry (meV per atom): 110

***

3.
Below is crystalline BaCaBi4O8 at its relaxed geometry, with properties calculated at the GGA-PBE level.

Lattice parameters (Å, degrees): 6.405 6.405 7.617 90.00 90.00 120.00
Sites, in units of the cell vectors:
Bi  0.667  0.333  0.275
Bi  0.667  0.333  0.725
O  0.000  0.710  0.710
Bi  0.333  0.667  0.275
O  0.290  0.000  0.290
Bi  0.333  0.667  0.725
O  0.333  0.667  0.000
O  0.667  0.333  0.000
O  0.710  0.000  0.710
O  0.000  0.290  0.290
Ca  0.000  0.000  0.500
Ba  0.000  0.000  0.000
O  0.290  0.290  0.710
O  0.710  0.710  0.290

## Properties
Space group: No. 162
Total magnetic moment (μB per cell): 0.00
DFT formation energy (meV/atom): -1963.7

***

4.
Below is crystalline BaCaPrBiO6 at its relaxed geometry, with properties calculated at the GGA-PBE level.

Lattice parameters (Å, degrees): 6.081 6.193 8.721 90.15 89.53 90.11
Sites, in units of the cell vectors:
Pr  0.500  0.000  0.000
O  0.876  0.513  0.765
Ba  0.007  0.960  0.749
O  0.785  0.806  0.465
Ca  0.489  0.460  0.746
O  0.425  0.929  0.264
Pr  0.000  0.500  0.500
O  0.714  0.313  0.069
O  0.286  0.687  0.931
Ca  0.511  0.540  0.254
Bi  0.500  0.000  0.500
O  0.809  0.782  0.045
Bi  0.000  0.500  0.000
O  0.124  0.487  0.235
Ba  0.993  0.040  0.251
O  0.215  0.194  0.535
O  0.679  0.292  0.436
O  0.191  0.218  0.955
O  0.321  0.708  0.564
O  0.575  0.071  0.736

## Properties
Space group: No. 2
Total magnetic moment (μB per cell): 0.00
DFT formation energy (meV/atom): -2727.4
Energy above the lowest structure with this stoichiometry (meV per atom): 0

***

5.
Below is crystalline BaCaPrBiO6 at its relaxed geometry, with properties calculated at the GGA-PBE level.

Lattice parameters (Å, degrees): 8.700 8.682 8.721 90.00 90.00 90.00
Sites, in units of the cell vectors:
O  0.295  0.988  0.182
O  0.302  0.805  0.487
O  0.015  0.809  0.303
O  0.222  0.486  0.708
Ca  0.000  0.500  0.000
O  0.188  0.296  0.986
Ca  0.500  0.000  0.000
Bi  0.750  0.244  0.249
O  0.295  0.012  0.818
O  0.778  0.514  0.708
Bi  0.250  0.244  0.751
O  0.490  0.716  0.214
Ba  0.500  0.500  0.500
Ca  0.000  0.000  0.500
Ca  0.500  0.000  0.500
O  0.985  0.809  0.697
O  0.222  0.514  0.292
Ba  0.000  0.500  0.500
O  0.188  0.704  0.014
O  0.778  0.486  0.292
O  0.812  0.296  0.014
O  0.490  0.284  0.786
O  0.698  0.805  0.513
Bi  0.250  0.756  0.249
O  0.015  0.191  0.697
Pr  0.248  0.755  0.751
Ba  0.000  0.000  0.000
O  0.510  0.284  0.214
O  0.705  0.988  0.818
O  0.302  0.195  0.513
O  0.705  0.012  0.182
Pr  0.248  0.245  0.249
Ba  0.500  0.500  0.000
O  0.510  0.716  0.786
O  0.698  0.195  0.487
Pr  0.752  0.245  0.751
Bi  0.750  0.756  0.751
Pr  0.752  0.755  0.249
O  0.812  0.704  0.986
O  0.985  0.191  0.303

## Properties
Space group: No. 16
Total magnetic moment (μB per cell): 0.00
DFT formation energy (meV/atom): -2721.7
Energy above the lowest structure with this stoichiometry (meV per atom): 6

***

6.
Below is crystalline BaCaPrBiO6 at its relaxed geometry, with properties calculated at the GGA-PBE level.

Lattice parameters (Å, degrees): 6.243 6.243 6.243 60.00 60.00 60.00
Sites, in units of the cell vectors:
Pr  0.500  0.500  0.500
O  0.761  0.239  0.239
O  0.239  0.239  0.761
Ca  0.250  0.250  0.250
O  0.239  0.761  0.239
O  0.761  0.761  0.239
Bi  0.000  0.000  0.000
O  0.239  0.761  0.761
Ba  0.750  0.750  0.750
O  0.761  0.239  0.761

## Properties
Space group: No. 216
Total magnetic moment (μB per cell): 0.00
DFT formation energy (meV/atom): -2587.4
Energy above the lowest structure with this stoichiometry (meV per atom): 140